1.
Crystalline InSnTe2 at its relaxed geometry. Source: Materials Project, functional PBE-GGA.

Output
ρ = 6.4 Mg/m³
Uncorrected energy = -3.56 eV per atom
Symmetry = R-3m (166)

Unit cell a=7.740 b=7.740 c=7.740 alpha=33.73 beta=33.73 gamma=33.73
Atoms (fractional coordinates):
1 In 0.000 0.000 0.000
2 Sn 0.500 0.500 0.500
3 Te 0.251 0.251 0.251
4 Te 0.749 0.749 0.749


2.
Crystalline TmIn2Sn at its relaxed geometry. Source: Materials Project, functional PBE-GGA.

Output
ρ = 8.6 Mg/m³
Uncorrected energy = -3.86 eV per atom
Symmetry = P4/mmm (123)

Unit cell a=4.571 b=4.571 c=4.793 alpha=90.00 beta=90.00 gamma=90.00
Atoms (fractional coordinates):
1 Tm 0.000 0.000 0.000
2 In 0.000 0.500 0.500
3 In 0.500 0.000 0.500
4 Sn 0.500 0.500 0.000


3.
Crystalline SrIn4 at its relaxed geometry. Source: Materials Project, functional PBE-GGA.

Output
ρ = 6.2 Mg/m³
Uncorrected energy = -2.80 eV per atom
Symmetry = C2/m (12)

Unit cell a=6.631 b=6.631 c=10.089 alpha=112.93 beta=112.93 gamma=46.80
Atoms (fractional coordinates):
1 Sr 0.166 0.166 0.209
2 Sr 0.834 0.834 0.791
3 In 0.150 0.150 0.552
4 In 0.153 0.153 0.850
5 In 0.423 0.423 0.077
6 In 0.435 0.435 0.601
7 In 0.565 0.565 0.399
8 In 0.577 0.577 0.923
9 In 0.847 0.847 0.150
10 In 0.850 0.850 0.448


4.
Crystalline SrIn4 at its relaxed geometry. Source: Materials Project, functional PBE-GGA.

Output
ρ = 6.0 Mg/m³
Uncorrected energy = -2.80 eV per atom
Symmetry = I4/mmm (139)

Unit cell a=7.094 b=7.094 c=7.094 alpha=139.10 beta=139.10 gamma=59.23
Atoms (fractional coordinates):
1 Sr 0.000 0.000 0.000
2 In 0.250 0.750 0.500
3 In 0.386 0.386 0.000
4 In 0.614 0.614 0.000
5 In 0.750 0.250 0.500


5.
Crystalline Sr5In3 at its relaxed geometry. Source: Materials Project, functional PBE-GGA.

Output
ρ = 4.0 Mg/m³
Uncorrected energy = -2.43 eV per atom
Symmetry = I4/mcm (140)

Unit cell a=10.346 b=10.346 c=10.346 alpha=129.50 beta=129.50 gamma=74.20
Atoms (fractional coordinates):
1 Sr 0.000 0.000 0.000
2 Sr 0.030 0.530 0.851
3 Sr 0.179 0.030 0.500
4 Sr 0.321 0.821 0.851
5 Sr 0.470 0.321 0.500
6 Sr 0.500 0.500 0.000
7 Sr 0.530 0.679 0.500
8 Sr 0.679 0.179 0.149
9 Sr 0.821 0.970 0.500
10 Sr 0.970 0.470 0.149
11 In 0.116 0.384 0.500
12 In 0.250 0.250 0.000
13 In 0.384 0.884 0.268
14 In 0.616 0.116 0.732
15 In 0.750 0.750 0.000
16 In 0.884 0.616 0.500


6.
Crystalline SrIn at its relaxed geometry. Source: Materials Project, functional PBE-GGA.

Output
ρ = 4.7 Mg/m³
Uncorrected energy = -2.64 eV per atom
Symmetry = Cc (9)

Unit cell a=13.857 b=13.857 c=6.670 alpha=101.28 beta=101.28 gamma=144.24
Atoms (fractional coordinates):
1 Sr 0.048 0.952 0.500
2 Sr 0.099 0.505 0.595
3 Sr 0.481 0.590 0.098
4 Sr 0.505 0.099 0.095
5 Sr 0.545 0.935 0.500
6 Sr 0.590 0.481 0.598
7 Sr 0.935 0.545 0.000
8 Sr 0.952 0.048 0.000
9 In 0.061 0.383 0.041
10 In 0.155 0.972 0.046
11 In 0.383 0.061 0.541
12 In 0.388 0.563 0.557
13 In 0.563 0.388 0.057
14 In 0.654 0.976 0.046
15 In 0.972 0.155 0.546
16 In 0.976 0.654 0.546


7.
Crystalline SrIn at its relaxed geometry. Source: Materials Project, functional PBE-GGA.

Output
ρ = 4.7 Mg/m³
Uncorrected energy = -2.65 eV per atom
Symmetry = P1 (1)
Size of the total moment = 0.00 μB/f.u.

Unit cell a=6.670 b=6.676 c=13.850 alpha=101.24 beta=101.22 gamma=100.78
Atoms (fractional coordinates):
1 Sr 0.000 0.000 0.000
2 Sr 0.013 0.016 0.512
3 Sr 0.052 0.655 0.715
4 Sr 0.106 0.610 0.216
5 Sr 0.444 0.546 0.497
6 Sr 0.471 0.570 0.012
7 Sr 0.568 0.166 0.202
8 Sr 0.608 0.112 0.701
9 In 0.080 0.126 0.284
10 In 0.170 0.220 0.789
11 In 0.487 0.036 0.424
12 In 0.491 0.041 0.927
13 In 0.570 0.629 0.783
14 In 0.668 0.720 0.285
15 In 0.892 0.453 0.431
16 In 0.904 0.448 0.930


8.
Crystalline Tb3In at its relaxed geometry. Source: Materials Project, functional PBE-GGA.

Output
ρ = 8.5 Mg/m³
Uncorrected energy = -4.42 eV per atom
Symmetry = P6_3/mmc (194)

Unit cell a=6.946 b=6.946 c=5.527 alpha=90.00 beta=90.00 gamma=120.00
Atoms (fractional coordinates):
1 Tb 0.173 0.345 0.250
2 Tb 0.173 0.827 0.250
3 Tb 0.345 0.173 0.750
4 Tb 0.655 0.827 0.250
5 Tb 0.827 0.173 0.750
6 Tb 0.827 0.655 0.750
7 In 0.333 0.667 0.750
8 In 0.667 0.333 0.250


9.
Crystalline TbTmIn2 at its relaxed geometry. Source: Materials Project, functional PBE-GGA.

Output
ρ = 8.8 Mg/m³
Uncorrected energy = -4.09 eV per atom
Symmetry = Fm-3m (225)

Unit cell a=5.294 b=5.294 c=5.294 alpha=60.00 beta=60.00 gamma=60.00
Atoms (fractional coordinates):
1 Tb 0.000 0.000 0.000
2 Tm 0.500 0.500 0.500
3 In 0.250 0.250 0.250
4 In 0.750 0.750 0.750


10.
Crystalline InTc3 at its relaxed geometry. Source: Materials Project, functional PBE-GGA.

Output
ρ = 10.7 Mg/m³
Uncorrected energy = -8.13 eV per atom
Symmetry = I4/mmm (139)
Size of the total moment = 0.02 μB/f.u.

Unit cell a=5.041 b=5.041 c=5.041 alpha=134.78 beta=134.78 gamma=65.87
Atoms (fractional coordinates):
1 In 0.000 0.000 0.000
2 Tc 0.250 0.750 0.500
3 Tc 0.500 0.500 0.000
4 Tc 0.750 0.250 0.500


11.
Crystalline In2Te3 at its relaxed geometry. Source: Materials Project, functional PBE-GGA.

Output
ρ = 6.3 Mg/m³
Uncorrected energy = -3.22 eV per atom
Symmetry = R-3m (166)
Size of the total moment = 0.00 μB/f.u.

Unit cell a=10.106 b=10.106 c=10.106 alpha=24.85 beta=24.85 gamma=24.85
Atoms (fractional coordinates):
1 In 0.099 0.099 0.099
2 In 0.901 0.901 0.901
3 Te 0.286 0.286 0.286
4 Te 0.500 0.500 0.500
5 Te 0.714 0.714 0.714


12.
Crystalline In4Te3 at its relaxed geometry. Source: Materials Project, functional PBE-GGA.

Output
ρ = 6.0 Mg/m³
Uncorrected energy = -3.19 eV per atom
Symmetry = Pnnm (58)

Unit cell a=12.995 b=16.000 c=4.516 alpha=90.00 beta=90.00 gamma=90.00
Atoms (fractional coordinates):
1 In 0.025 0.183 0.000
2 In 0.103 0.427 0.000
3 In 0.146 0.036 0.000
4 In 0.155 0.715 0.000
5 In 0.345 0.215 0.500
6 In 0.354 0.536 0.500
7 In 0.397 0.927 0.500
8 In 0.475 0.683 0.500
9 In 0.525 0.317 0.500
10 In 0.603 0.073 0.500
11 In 0.646 0.464 0.500
12 In 0.655 0.785 0.500
13 In 0.845 0.285 0.000
14 In 0.854 0.964 0.000
15 In 0.897 0.573 0.000
16 In 0.975 0.817 0.000
17 Te 0.136 0.274 0.500
18 Te 0.139 0.596 0.500
19 Te 0.148 0.923 0.500
20 Te 0.352 0.423 0.000
21 Te 0.361 0.096 0.000
22 Te 0.364 0.774 0.000
23 Te 0.636 0.226 0.000
24 Te 0.639 0.904 0.000
25 Te 0.648 0.577 0.000
26 Te 0.852 0.077 0.500
27 Te 0.861 0.404 0.500
28 Te 0.864 0.726 0.500